Entry 1:
A relaxed structure of CaNiO3. Source: the Materials Project database, functional PBE with a Hubbard U.

Values from the calculation:
DFT total energy	-53.6	eV/cell

a = 5.1950 Å, b = 5.1950 Å, c = 4.7890 Å
α = 90.00°, β = 90.00°, γ = 120.00°
Space group P6_3mc (No. 186)
Unique sites:
Ca: 0.3333 0.6667 0.0000 (multiplicity 2)
Ni: 0.0000 0.0000 0.2800 (multiplicity 2)
O: 0.1592 0.3184 0.5317 (multiplicity 6)

Entry 2:
A relaxed structure of LiCr2O4. Source: the Materials Project database, functional PBE with a Hubbard U.

Values from the calculation:
energy relative to the lowest polymorph listed for this composition	0	meV/atom
DFT total energy	-200.3	eV/cell

a = 5.919 Å, b = 5.975 Å, c = 8.320 Å
α = 89.64°, β = 89.72°, γ = 89.87°
Space group P1 (No. 1)
Unique sites:
Li: 0.000 0.000 0.000 (multiplicity 1)
Li: 0.001 0.502 0.248 (multiplicity 1)
Li: 0.502 0.504 0.502 (multiplicity 1)
Li: 0.506 0.998 0.749 (multiplicity 1)
Cr: 0.002 0.253 0.624 (multiplicity 1)
Cr: 0.005 0.748 0.624 (multiplicity 1)
Cr: 0.252 0.002 0.375 (multiplicity 1)
Cr: 0.252 0.499 0.874 (multiplicity 1)
Cr: 0.499 0.256 0.123 (multiplicity 1)
Cr: 0.505 0.752 0.125 (multiplicity 1)
Cr: 0.754 0.004 0.375 (multiplicity 1)
Cr: 0.755 0.501 0.874 (multiplicity 1)
O: 0.007 0.784 0.379 (multiplicity 1)
O: 0.227 0.499 0.636 (multiplicity 1)
O: 0.232 0.004 0.604 (multiplicity 1)
O: 0.278 0.004 0.143 (multiplicity 1)
O: 0.286 0.494 0.120 (multiplicity 1)
O: 0.500 0.227 0.359 (multiplicity 1)
O: 0.508 0.788 0.367 (multiplicity 1)
O: 0.510 0.268 0.894 (multiplicity 1)
O: 0.511 0.717 0.885 (multiplicity 1)
O: 0.724 0.013 0.141 (multiplicity 1)
O: 0.729 0.497 0.109 (multiplicity 1)
O: 0.774 0.503 0.643 (multiplicity 1)
O: 0.774 0.998 0.602 (multiplicity 1)
O: 0.994 0.280 0.866 (multiplicity 1)
O: 0.999 0.219 0.380 (multiplicity 1)
O: 0.999 0.724 0.864 (multiplicity 1)

Entry 3:
A relaxed structure of Cr3Sn3Sb2O16. Source: the Materials Project database, functional PBE with a Hubbard U.

Values from the calculation:
energy relative to the lowest polymorph listed for this composition	7	meV/atom
DFT total energy	-317.9	eV/cell

a = 10.708 Å, b = 6.167 Å, c = 9.356 Å
α = 90.00°, β = 90.95°, γ = 90.00°
Space group Cm (No. 8)
Unique sites:
Cr: 0.000 0.000 0.000 (multiplicity 2)
Cr: 0.414 0.245 0.503 (multiplicity 4)
Sn: 0.160 0.500 0.490 (multiplicity 2)
Sn: 0.245 0.247 0.998 (multiplicity 4)
Sb: 0.155 0.000 0.282 (multiplicity 2)
Sb: 0.489 0.000 0.775 (multiplicity 2)
O: 0.059 0.281 0.629 (multiplicity 4)
O: 0.084 0.212 0.129 (multiplicity 4)
O: 0.155 0.500 0.881 (multiplicity 2)
O: 0.156 0.000 0.887 (multiplicity 2)
O: 0.244 0.240 0.387 (multiplicity 4)
O: 0.305 0.000 0.140 (multiplicity 2)
O: 0.335 0.500 0.096 (multiplicity 2)
O: 0.339 0.500 0.580 (multiplicity 2)
O: 0.351 0.000 0.621 (multiplicity 2)
O: 0.415 0.246 0.887 (multiplicity 4)
O: 0.483 0.000 0.394 (multiplicity 2)
O: 0.497 0.500 0.394 (multiplicity 2)

Entry 4:
A relaxed structure of Li9Mn2Co5O16. Source: the Materials Project database, functional PBE with a Hubbard U.

Values from the calculation:
energy relative to the lowest polymorph listed for this composition	82	meV/atom
DFT total energy	-184.7	eV/cell

a = 3.021 Å, b = 5.999 Å, c = 16.082 Å
α = 90.69°, β = 91.00°, γ = 95.12°
Space group P1 (No. 1)
Unique sites:
Li: 0.000 0.000 0.000 (multiplicity 1)
Li: 0.000 0.498 0.501 (multiplicity 1)
Li: 0.001 0.001 0.248 (multiplicity 1)
Li: 0.001 0.499 0.999 (multiplicity 1)
Li: 0.497 0.242 0.878 (multiplicity 1)
Li: 0.500 0.249 0.375 (multiplicity 1)
Li: 0.500 0.751 0.623 (multiplicity 1)
Li: 0.502 0.755 0.123 (multiplicity 1)
Li: 0.998 0.999 0.751 (multiplicity 1)
Mn: 0.499 0.748 0.374 (multiplicity 1)
Mn: 0.999 0.498 0.751 (multiplicity 1)
Co: 0.000 0.498 0.247 (multiplicity 1)
Co: 0.494 0.762 0.880 (multiplicity 1)
Co: 0.502 0.247 0.624 (multiplicity 1)
Co: 0.503 0.239 0.120 (multiplicity 1)
Co: 0.998 0.002 0.500 (multiplicity 1)
O: 0.022 0.019 0.125 (multiplicity 1)
O: 0.023 0.511 0.871 (multiplicity 1)
O: 0.024 0.012 0.619 (multiplicity 1)
O: 0.025 0.503 0.368 (multiplicity 1)
O: 0.476 0.236 0.506 (multiplicity 1)
O: 0.477 0.742 0.759 (multiplicity 1)
O: 0.478 0.735 0.253 (multiplicity 1)
O: 0.497 0.254 0.012 (multiplicity 1)
O: 0.504 0.746 0.988 (multiplicity 1)
O: 0.521 0.255 0.744 (multiplicity 1)
O: 0.524 0.263 0.239 (multiplicity 1)
O: 0.524 0.763 0.496 (multiplicity 1)
O: 0.976 0.487 0.629 (multiplicity 1)
O: 0.976 0.994 0.380 (multiplicity 1)
O: 0.977 0.485 0.130 (multiplicity 1)
O: 0.978 0.981 0.875 (multiplicity 1)

Entry 5:
A relaxed structure of CuMoO4. Source: the Materials Project database, functional PBE with a Hubbard U.

Values from the calculation:
energy relative to the lowest polymorph listed for this composition	5	meV/atom
DFT total energy	-305.8	eV/cell

a = 8.348 Å, b = 9.562 Å, c = 10.296 Å
α = 90.00°, β = 124.52°, γ = 90.00°
Space group P2_1/c (No. 14)
Unique sites:
Cu: 0.017 0.002 0.179 (multiplicity 4)
Cu: 0.415 0.507 0.737 (multiplicity 4)
Mo: 0.157 0.689 0.120 (multiplicity 4)
Mo: 0.362 0.229 0.908 (multiplicity 4)
O: 0.040 0.149 0.569 (multiplicity 4)
O: 0.110 0.620 0.257 (multiplicity 4)
O: 0.165 0.610 0.616 (multiplicity 4)
O: 0.181 0.139 0.921 (multiplicity 4)
O: 0.260 0.108 0.285 (multiplicity 4)
O: 0.363 0.609 0.132 (multiplicity 4)
O: 0.463 0.717 0.898 (multiplicity 4)
O: 0.473 0.107 0.852 (multiplicity 4)

Entry 6:
A relaxed structure of Li7Co5O12. Source: the Materials Project database, functional PBE with a Hubbard U.

Values from the calculation:
energy relative to the lowest polymorph listed for this composition	265	meV/atom
DFT total energy	-255.6	eV/cell

a = 5.014 Å, b = 2.941 Å, c = 29.765 Å
α = 90.00°, β = 91.03°, γ = 90.00°
Space group C2/m (No. 12)
Unique sites:
Li: 0.000 0.000 0.000 (multiplicity 2)
Li: 0.004 0.000 0.750 (multiplicity 4)
Li: 0.166 0.500 0.583 (multiplicity 4)
Li: 0.168 0.500 0.084 (multiplicity 4)
Co: 0.000 0.000 0.500 (multiplicity 2)
Co: 0.166 0.500 0.333 (multiplicity 4)
Co: 0.167 0.500 0.832 (multiplicity 4)
O: 0.007 0.000 0.372 (multiplicity 4)
O: 0.016 0.000 0.131 (multiplicity 4)
O: 0.152 0.500 0.206 (multiplicity 4)
O: 0.167 0.500 0.956 (multiplicity 4)
O: 0.176 0.500 0.705 (multiplicity 4)
O: 0.180 0.500 0.462 (multiplicity 4)